(1)
The following is a DFT calculation (PBE) of Rb2LiNdBr6 after structural relaxation.

Unit cell a=11.263 b=11.263 c=11.263 alpha=90.00 beta=90.00 gamma=90.00
Space group Fm-3m (No. 225)
Asymmetric unit:
Rb: 0.250 0.250 0.250 x8
Li: 0.000 0.000 0.000 x4
Nd: 0.000 0.000 0.500 x4
Br: 0.000 0.000 0.244 x24

Values from the calculation:
formation energy from the elements = -2105 meV per atom

***

(2)
The following is a DFT calculation (PBE) of LiBrO3 after structural relaxation.

Unit cell a=7.006 b=7.013 c=12.617 alpha=90.00 beta=90.00 gamma=90.00
Space group Pbca (No. 61)
Asymmetric unit:
Li: 0.246 0.136 0.030 x8
Br: 0.012 0.616 0.714 x8
O: 0.016 0.076 0.129 x8
O: 0.043 0.680 0.138 x8
O: 0.223 0.114 0.470 x8

Values from the calculation:
formation energy from the elements = -523 meV per atom

***

(3)
The following is a DFT calculation (PBE) of Li2BrO after structural relaxation.

Unit cell a=4.726 b=4.726 c=3.360 alpha=90.00 beta=90.00 gamma=90.00
Space group P4/mmm (No. 123)
Asymmetric unit:
Li: 0.000 0.500 0.000 x2
Br: 0.000 0.000 0.000 x1
O: 0.500 0.500 0.500 x1

Values from the calculation:
E above lowest polymorph = 0.515 eV per atom
formation energy from the elements = -898 meV per atom

***

(4)
The following is a DFT calculation (PBE) of LiBrO after structural relaxation.

Unit cell a=6.682 b=3.826 c=4.203 alpha=90.00 beta=90.00 gamma=90.00
Space group Pmma (No. 51)
Asymmetric unit:
Li: 0.250 0.000 0.241 x2
Br: 0.250 0.500 0.706 x2
O: 0.000 0.000 0.000 x2

Values from the calculation:
formation energy from the elements = -652 meV per atom

***

(5)
The following is a DFT calculation (PBE) of Li7Br3O2 after structural relaxation.

Unit cell a=3.983 b=3.983 c=21.750 alpha=90.00 beta=90.00 gamma=90.00
Space group I4/mmm (No. 139)
Asymmetric unit:
Li: 0.000 0.000 0.000 x2
Li: 0.000 0.000 0.181 x4
Li: 0.000 0.500 0.093 x8
Br: 0.000 0.000 0.311 x4
Br: 0.000 0.000 0.500 x2
O: 0.000 0.000 0.092 x4

Values from the calculation:
formation energy from the elements = -1790 meV per atom

***

(6)
The following is a DFT calculation (PBE) of Li2BrO after structural relaxation.

Unit cell a=4.015 b=4.015 c=3.900 alpha=90.00 beta=90.00 gamma=90.00
Space group P4/mmm (No. 123)
Asymmetric unit:
Li: 0.000 0.500 0.000 x2
Br: 0.000 0.000 0.500 x1
O: 0.500 0.500 0.000 x1

Values from the calculation:
E above lowest polymorph = 0.000 eV per atom
formation energy from the elements = -1413 meV per atom

***

(7)
The following is a DFT calculation (PBE) of LiP4Br12O4 after structural relaxation.

Unit cell a=6.814 b=9.934 c=11.015 alpha=90.15 beta=90.09 gamma=94.34
Space group P1 (No. 1)
Asymmetric unit:
Li: 0.000 0.000 0.000 x1
P: 0.134 0.678 0.001 x1
P: 0.416 0.179 0.000 x1
P: 0.613 0.801 0.499 x1
P: 0.902 0.299 0.500 x1
Br: 0.124 0.472 0.501 x1
Br: 0.189 0.146 0.831 x1
Br: 0.189 0.149 0.168 x1
Br: 0.314 0.640 0.842 x1
Br: 0.315 0.641 0.160 x1
Br: 0.419 0.968 0.500 x1
Br: 0.626 0.982 0.000 x1
Br: 0.712 0.333 0.343 x1
Br: 0.715 0.331 0.659 x1
Br: 0.806 0.837 0.658 x1
Br: 0.809 0.839 0.343 x1
Br: 0.893 0.521 0.001 x1
O: 0.065 0.816 0.001 x1
O: 0.506 0.666 0.498 x1
O: 0.528 0.312 0.999 x1
O: 0.986 0.167 0.498 x1

Values from the calculation:
E above lowest polymorph = 0.000 eV per atom
formation energy from the elements = -973 meV per atom

***

(8)
The following is a DFT calculation (PBE) of LiP4Br12O4 after structural relaxation.

Unit cell a=6.677 b=10.327 c=10.573 alpha=91.19 beta=91.52 gamma=95.45
Space group P1 (No. 1)
Asymmetric unit:
Li: 0.000 0.000 0.000 x1
P: 0.062 0.197 0.289 x1
P: 0.289 0.574 0.794 x1
P: 0.563 0.079 0.795 x1
P: 0.789 0.706 0.291 x1
Br: 0.059 0.407 0.787 x1
Br: 0.294 0.362 0.289 x1
Br: 0.368 0.054 0.004 x1
Br: 0.389 0.043 0.603 x1
Br: 0.477 0.547 0.628 x1
Br: 0.487 0.542 0.957 x1
Br: 0.592 0.863 0.284 x1
Br: 0.800 0.915 0.805 x1
Br: 0.864 0.223 0.119 x1
Br: 0.874 0.234 0.450 x1
Br: 0.986 0.748 0.459 x1
Br: 0.991 0.738 0.128 x1
O: 0.136 0.067 0.286 x1
O: 0.205 0.701 0.798 x1
O: 0.681 0.209 0.802 x1
O: 0.682 0.574 0.287 x1

Values from the calculation:
E above lowest polymorph = 0.030 eV per atom
formation energy from the elements = -943 meV per atom

***

(9)
The following is a DFT calculation (PBE) of LiP4Br12O4 after structural relaxation.

Unit cell a=6.690 b=10.114 c=10.752 alpha=91.35 beta=91.28 gamma=94.90
Space group P1 (No. 1)
Asymmetric unit:
Li: 0.000 0.000 0.000 x1
P: 0.024 0.763 0.197 x1
P: 0.304 0.264 0.197 x1
P: 0.527 0.641 0.698 x1
P: 0.813 0.137 0.697 x1
Br: 0.029 0.983 0.713 x1
Br: 0.103 0.284 0.029 x1
Br: 0.114 0.301 0.356 x1
Br: 0.213 0.785 0.383 x1
Br: 0.219 0.811 0.000 x1
Br: 0.297 0.473 0.694 x1
Br: 0.526 0.435 0.192 x1
Br: 0.616 0.077 0.538 x1
Br: 0.630 0.102 0.865 x1
Br: 0.717 0.612 0.863 x1
Br: 0.720 0.605 0.539 x1
Br: 0.795 0.940 0.187 x1
O: 0.386 0.133 0.195 x1
O: 0.445 0.772 0.696 x1
O: 0.907 0.631 0.187 x1
O: 0.912 0.273 0.693 x1

Values from the calculation:
E above lowest polymorph = 0.034 eV per atom
formation energy from the elements = -939 meV per atom

***

(10)
The following is a DFT calculation (PBE) of LiP4Br12O4 after structural relaxation.

Unit cell a=6.249 b=10.749 c=11.207 alpha=90.06 beta=90.00 gamma=93.54
Space group P1 (No. 1)
Asymmetric unit:
Li: 0.000 0.000 0.000 x1
P: 0.023 0.112 0.500 x1
P: 0.245 0.483 0.000 x1
P: 0.540 0.970 0.000 x1
P: 0.731 0.611 0.500 x1
Br: 0.247 0.278 0.500 x1
Br: 0.301 0.002 0.835 x1
Br: 0.302 0.005 0.165 x1
Br: 0.443 0.442 0.844 x1
Br: 0.444 0.446 0.156 x1
Br: 0.522 0.768 0.502 x1
Br: 0.744 0.787 0.001 x1
Br: 0.811 0.137 0.655 x1
Br: 0.811 0.138 0.345 x1
Br: 0.941 0.642 0.656 x1
Br: 0.941 0.645 0.344 x1
Br: 0.991 0.331 0.001 x1
O: 0.126 0.993 0.500 x1
O: 0.164 0.609 0.998 x1
O: 0.614 0.487 0.499 x1
O: 0.718 0.072 0.000 x1

Values from the calculation:
E above lowest polymorph = 0.003 eV per atom
formation energy from the elements = -970 meV per atom

***

(11)
The following is a DFT calculation (PBE) of LiP4Br12O4 after structural relaxation.

Unit cell a=6.767 b=9.890 c=11.218 alpha=90.20 beta=90.04 gamma=93.99
Space group P1 (No. 1)
Asymmetric unit:
Li: 0.000 0.000 0.000 x1
P: 0.125 0.675 0.998 x1
P: 0.423 0.175 0.992 x1
P: 0.611 0.800 0.483 x1
P: 0.904 0.298 0.484 x1
Br: 0.129 0.469 0.483 x1
Br: 0.188 0.158 0.159 x1
Br: 0.190 0.149 0.833 x1
Br: 0.286 0.650 0.832 x1
Br: 0.323 0.622 0.142 x1
Br: 0.425 0.971 0.464 x1
Br: 0.631 0.978 0.957 x1
Br: 0.711 0.333 0.330 x1
Br: 0.716 0.333 0.640 x1
Br: 0.795 0.846 0.642 x1
Br: 0.821 0.818 0.333 x1
Br: 0.882 0.518 0.996 x1
O: 0.058 0.814 0.013 x1
O: 0.497 0.667 0.489 x1
O: 0.540 0.308 0.988 x1
O: 0.986 0.164 0.483 x1

Values from the calculation:
E above lowest polymorph = 0.000 eV per atom
formation energy from the elements = -973 meV per atom

***

(12)
The following is a DFT calculation (PBE) of LiPr2Br2O4 after structural relaxation.

Unit cell a=4.357 b=6.322 c=7.623 alpha=112.89 beta=93.70 gamma=103.30
Space group P1 (No. 1)
Asymmetric unit:
Li: 0.000 0.000 0.000 x1
Pr: 0.272 0.512 0.901 x1
Pr: 0.812 0.720 0.568 x1
Br: 0.341 0.880 0.326 x1
Br: 0.662 0.310 0.143 x1
O: 0.037 0.105 0.785 x1
O: 0.254 0.542 0.587 x1
O: 0.364 0.792 0.732 x1
O: 0.814 0.643 0.861 x1

Values from the calculation:
E above lowest polymorph = 0.127 eV per atom
formation energy from the elements = -2113 meV per atom

***

(13)
The following is a DFT calculation (PBE) of LiPr2Br2O4 after structural relaxation.

Unit cell a=6.206 b=4.269 c=7.104 alpha=90.00 beta=113.58 gamma=90.00
Space group Pm (No. 6)
Asymmetric unit:
Li: 0.000 0.000 0.000 x1
Pr: 0.151 0.500 0.466 x1
Pr: 0.574 0.000 0.219 x1
Br: 0.165 0.500 0.905 x1
Br: 0.577 0.000 0.773 x1
O: 0.229 0.000 0.281 x1
O: 0.703 0.500 0.386 x1
O: 0.752 0.500 0.194 x1
O: 0.988 0.000 0.451 x1

Values from the calculation:
E above lowest polymorph = 0.022 eV per atom
formation energy from the elements = -2218 meV per atom

***

(14)
The following is a DFT calculation (PBE) of LiPr2Br2O4 after structural relaxation.

Unit cell a=4.359 b=6.459 c=7.319 alpha=112.52 beta=92.80 gamma=98.47
Space group P1 (No. 1)
Asymmetric unit:
Li: 0.000 0.000 0.000 x1
Pr: 0.341 0.314 0.472 x1
Pr: 0.889 0.589 0.176 x1
Br: 0.429 0.728 0.885 x1
Br: 0.839 0.187 0.760 x1
O: 0.056 0.975 0.252 x1
O: 0.346 0.409 0.165 x1
O: 0.414 0.627 0.344 x1
O: 0.856 0.387 0.393 x1

Values from the calculation:
E above lowest polymorph = 0.000 eV per atom
formation energy from the elements = -2240 meV per atom

***

(15)
The following is a DFT calculation (PBE) of LiPr2Br2O4 after structural relaxation.

Unit cell a=5.691 b=4.356 c=7.072 alpha=90.00 beta=107.87 gamma=90.00
Space group Pm (No. 6)
Asymmetric unit:
Li: 0.000 0.000 0.000 x1
Pr: 0.190 0.500 0.698 x1
Pr: 0.597 0.000 0.459 x1
Br: 0.161 0.500 0.166 x1
Br: 0.572 0.000 0.010 x1
O: 0.238 0.000 0.545 x1
O: 0.654 0.500 0.627 x1
O: 0.773 0.500 0.463 x1
O: 0.987 0.000 0.727 x1

Values from the calculation:
E above lowest polymorph = 0.027 eV per atom
formation energy from the elements = -2213 meV per atom

***

(16)
The following is a DFT calculation (PBE) of LiTa2Te4Br10O after structural relaxation.

Unit cell a=7.470 b=9.004 c=10.038 alpha=94.40 beta=91.56 gamma=104.64
Space group P1 (No. 1)
Asymmetric unit:
Li: 0.000 0.000 0.000 x1
Ta: 0.404 0.153 0.824 x1
Ta: 0.430 0.883 0.097 x1
Te: 0.088 0.607 0.614 x1
Te: 0.728 0.434 0.315 x1
Te: 0.823 0.708 0.474 x1
Te: 0.995 0.333 0.454 x1
Br: 0.062 0.977 0.747 x1
Br: 0.101 0.731 0.035 x1
Br: 0.220 0.285 0.988 x1
Br: 0.321 0.052 0.271 x1
Br: 0.363 0.344 0.652 x1
Br: 0.446 0.691 0.275 x1
Br: 0.520 0.993 0.652 x1
Br: 0.582 0.730 0.938 x1
Br: 0.708 0.324 0.898 x1
Br: 0.768 0.050 0.175 x1
O: 0.415 0.016 0.960 x1

Values from the calculation:
E above lowest polymorph = 0.003 eV per atom
formation energy from the elements = -937 meV per atom

***

(17)
The following is a DFT calculation (PBE) of LiTa2Te4Br10O after structural relaxation.

Unit cell a=7.400 b=9.180 c=10.085 alpha=95.07 beta=91.95 gamma=105.59
Space group P1 (No. 1)
Asymmetric unit:
Li: 0.000 0.000 0.000 x1
Ta: 0.608 0.388 0.669 x1
Ta: 0.629 0.128 0.943 x1
Te: 0.048 0.959 0.337 x1
Te: 0.208 0.587 0.299 x1
Te: 0.322 0.857 0.462 x1
Te: 0.933 0.689 0.173 x1
Br: 0.276 0.205 0.589 x1
Br: 0.304 0.943 0.890 x1
Br: 0.439 0.525 0.824 x1
Br: 0.505 0.276 0.118 x1
Br: 0.586 0.563 0.487 x1
Br: 0.680 0.942 0.134 x1
Br: 0.747 0.228 0.510 x1
Br: 0.769 0.953 0.789 x1
Br: 0.922 0.551 0.754 x1
Br: 0.971 0.281 0.020 x1
O: 0.615 0.248 0.809 x1

Values from the calculation:
E above lowest polymorph = 0.014 eV per atom
formation energy from the elements = -926 meV per atom

***

(18)
The following is a DFT calculation (PBE) of LiTa2Te4Br10O after structural relaxation.

Unit cell a=7.945 b=8.852 c=10.212 alpha=91.98 beta=94.39 gamma=103.69
Space group P1 (No. 1)
Asymmetric unit:
Li: 0.000 0.000 0.000 x1
Ta: 0.088 0.359 0.006 x1
Ta: 0.125 0.085 0.287 x1
Te: 0.411 0.611 0.491 x1
Te: 0.498 0.891 0.636 x1
Te: 0.678 0.513 0.627 x1
Te: 0.783 0.802 0.755 x1
Br: 0.055 0.535 0.813 x1
Br: 0.142 0.883 0.466 x1
Br: 0.205 0.180 0.847 x1
Br: 0.260 0.919 0.132 x1
Br: 0.384 0.514 0.073 x1
Br: 0.431 0.243 0.363 x1
Br: 0.782 0.169 0.920 x1
Br: 0.827 0.912 0.209 x1
Br: 0.933 0.501 0.147 x1
Br: 0.996 0.242 0.439 x1
O: 0.101 0.210 0.139 x1

Values from the calculation:
E above lowest polymorph = 0.018 eV per atom
formation energy from the elements = -922 meV per atom